[1]
# PmPr PBE-GGA optimized geometry
data_PmPr
_chemical_formula_sum 'Pm1 Pr1'
_cell_length_a 3.6972
_cell_length_b 3.6972
_cell_length_c 6.0517
_cell_angle_alpha 90.00
_cell_angle_beta 90.00
_cell_angle_gamma 120.00
_symmetry_space_group_name_H-M 'P -6 m 2'
_symmetry_Int_Tables_number 187
_symmetry_space_group_name_Hall 'P -6 2'
loop_
_atom_site_label
_atom_site_type_symbol
_atom_site_fract_x
_atom_site_fract_y
_atom_site_fract_z
Pm1 Pm 0.0000 0.0000 0.0000
Pr1 Pr 0.6667 0.3333 0.5000
# crystal system = hexagonal
# energy relative to the elements = 2.7 kJ per mole of atoms
# total DFT energy (no corrections) = -0.34818 Ry per atom

---

[2]
# Pm3Pr PBE-GGA optimized geometry
data_Pm3Pr
_chemical_formula_sum 'Pm6 Pr2'
_cell_length_a 7.3498
_cell_length_b 7.3498
_cell_length_c 6.0353
_cell_angle_alpha 90.00
_cell_angle_beta 90.00
_cell_angle_gamma 120.00
_symmetry_space_group_name_H-M 'P 63/m m c'
_symmetry_Int_Tables_number 194
_symmetry_space_group_name_Hall '-P 6c 2c'
loop_
_atom_site_label
_atom_site_type_symbol
_atom_site_fract_x
_atom_site_fract_y
_atom_site_fract_z
Pm1 Pm 0.1663 0.3326 0.2500
Pr1 Pr 0.3333 0.6667 0.7500
# crystal system = hexagonal
# energy relative to the elements = 3.0 kJ per mole of atoms
# total DFT energy (no corrections) = -0.34741 Ry per atom
# energy above the most stable polymorph in this dataset = 0.0173 eV/atom

---

[3]
# PmPrTl2 PBE-GGA optimized geometry
data_PmPrTl2
_chemical_formula_sum 'Pm4 Pr4 Tl8'
_cell_length_a 7.824
_cell_length_b 7.824
_cell_length_c 7.824
_cell_angle_alpha 90.00
_cell_angle_beta 90.00
_cell_angle_gamma 90.00
_symmetry_space_group_name_H-M 'F m -3 m'
_symmetry_Int_Tables_number 225
_symmetry_space_group_name_Hall '-F 4 2 3'
loop_
_atom_site_label
_atom_site_type_symbol
_atom_site_fract_x
_atom_site_fract_y
_atom_site_fract_z
Pm1 Pm 0.000 0.000 0.000
Pr1 Pr 0.000 0.000 0.500
Tl1 Tl 0.250 0.250 0.250
# crystal system = cubic
# energy relative to the elements = -37.9 kJ per mole of atoms
# total DFT energy (no corrections) = -0.29085 Ry per atom

---

[4]
# Pm2PtRh PBE-GGA optimized geometry
data_Pm2PtRh
_chemical_formula_sum 'Pm8 Pt4 Rh4'
_cell_length_a 7.116
_cell_length_b 7.116
_cell_length_c 7.116
_cell_angle_alpha 90.00
_cell_angle_beta 90.00
_cell_angle_gamma 90.00
_symmetry_space_group_name_H-M 'F m -3 m'
_symmetry_Int_Tables_number 225
_symmetry_space_group_name_Hall '-F 4 2 3'
loop_
_atom_site_label
_atom_site_type_symbol
_atom_site_fract_x
_atom_site_fract_y
_atom_site_fract_z
Pm1 Pm 0.250 0.250 0.250
Pt1 Pt 0.000 0.000 0.000
Rh1 Rh 0.000 0.000 0.500
# crystal system = cubic
# energy relative to the elements = -85.4 kJ per mole of atoms
# total DFT energy (no corrections) = -0.48652 Ry per atom

---

[5]
# Pm2RuPt PBE-GGA optimized geometry
data_Pm2RuPt
_chemical_formula_sum 'Pm8 Ru4 Pt4'
_cell_length_a 7.085
_cell_length_b 7.085
_cell_length_c 7.085
_cell_angle_alpha 90.00
_cell_angle_beta 90.00
_cell_angle_gamma 90.00
_symmetry_space_group_name_H-M 'F m -3 m'
_symmetry_Int_Tables_number 225
_symmetry_space_group_name_Hall '-F 4 2 3'
loop_
_atom_site_label
_atom_site_type_symbol
_atom_site_fract_x
_atom_site_fract_y
_atom_site_fract_z
Pm1 Pm 0.250 0.250 0.250
Ru1 Ru 0.000 0.000 0.000
Pt1 Pt 0.000 0.000 0.500
# crystal system = cubic
# energy relative to the elements = -57.7 kJ per mole of atoms
# total DFT energy (no corrections) = -0.50047 Ry per atom

---

[6]
# Pm2SiPt PBE-GGA optimized geometry
data_Pm2SiPt
_chemical_formula_sum 'Pm8 Si4 Pt4'
_cell_length_a 7.248
_cell_length_b 7.248
_cell_length_c 7.248
_cell_angle_alpha 90.00
_cell_angle_beta 90.00
_cell_angle_gamma 90.00
_symmetry_space_group_name_H-M 'F m -3 m'
_symmetry_Int_Tables_number 225
_symmetry_space_group_name_Hall '-F 4 2 3'
loop_
_atom_site_label
_atom_site_type_symbol
_atom_site_fract_x
_atom_site_fract_y
_atom_site_fract_z
Pm1 Pm 0.250 0.250 0.250
Si1 Si 0.000 0.000 0.000
Pt1 Pt 0.000 0.000 0.500
# crystal system = cubic
# energy relative to the elements = -71.6 kJ per mole of atoms
# total DFT energy (no corrections) = -0.44035 Ry per atom

---

[7]
# PmSnPt2 PBE-GGA optimized geometry
data_PmSnPt2
_chemical_formula_sum 'Pm4 Sn4 Pt8'
_cell_length_a 6.932
_cell_length_b 6.932
_cell_length_c 6.932
_cell_angle_alpha 90.00
_cell_angle_beta 90.00
_cell_angle_gamma 90.00
_symmetry_space_group_name_H-M 'F m -3 m'
_symmetry_Int_Tables_number 225
_symmetry_space_group_name_Hall '-F 4 2 3'
loop_
_atom_site_label
_atom_site_type_symbol
_atom_site_fract_x
_atom_site_fract_y
_atom_site_fract_z
Pm1 Pm 0.000 0.000 0.000
Sn1 Sn 0.000 0.000 0.500
Pt1 Pt 0.250 0.250 0.250
# crystal system = cubic
# energy relative to the elements = -78.4 kJ per mole of atoms
# total DFT energy (no corrections) = -0.44379 Ry per atom

---

[8]
# SrPmPt2 PBE-GGA optimized geometry
data_SrPmPt2
_chemical_formula_sum 'Sr4 Pm4 Pt8'
_cell_length_a 7.232
_cell_length_b 7.232
_cell_length_c 7.232
_cell_angle_alpha 90.00
_cell_angle_beta 90.00
_cell_angle_gamma 90.00
_symmetry_space_group_name_H-M 'F m -3 m'
_symmetry_Int_Tables_number 225
_symmetry_space_group_name_Hall '-F 4 2 3'
loop_
_atom_site_label
_atom_site_type_symbol
_atom_site_fract_x
_atom_site_fract_y
_atom_site_fract_z
Sr1 Sr 0.000 0.000 0.000
Pm1 Pm 0.000 0.000 0.500
Pt1 Pt 0.250 0.250 0.250
# crystal system = cubic
# energy relative to the elements = -86.8 kJ per mole of atoms
# total DFT energy (no corrections) = -0.40757 Ry per atom

---

[9]
# Pm2ZnPt PBE-GGA optimized geometry
data_Pm2ZnPt
_chemical_formula_sum 'Pm8 Zn4 Pt4'
_cell_length_a 7.243
_cell_length_b 7.243
_cell_length_c 7.243
_cell_angle_alpha 90.00
_cell_angle_beta 90.00
_cell_angle_gamma 90.00
_symmetry_space_group_name_H-M 'F m -3 m'
_symmetry_Int_Tables_number 225
_symmetry_space_group_name_Hall '-F 4 2 3'
loop_
_atom_site_label
_atom_site_type_symbol
_atom_site_fract_x
_atom_site_fract_y
_atom_site_fract_z
Pm1 Pm 0.250 0.250 0.250
Zn1 Zn 0.000 0.000 0.000
Pt1 Pt 0.000 0.000 0.500
# crystal system = cubic
# energy relative to the elements = -66.4 kJ per mole of atoms
# total DFT energy (no corrections) = -0.35987 Ry per atom

---

[10]
# PmSbRh2 PBE-GGA optimized geometry
data_PmSbRh2
_chemical_formula_sum 'Pm4 Sb4 Rh8'
_cell_length_a 6.767
_cell_length_b 6.767
_cell_length_c 6.767
_cell_angle_alpha 90.00
_cell_angle_beta 90.00
_cell_angle_gamma 90.00
_symmetry_space_group_name_H-M 'F m -3 m'
_symmetry_Int_Tables_number 225
_symmetry_space_group_name_Hall '-F 4 2 3'
loop_
_atom_site_label
_atom_site_type_symbol
_atom_site_fract_x
_atom_site_fract_y
_atom_site_fract_z
Pm1 Pm 0.000 0.000 0.000
Sb1 Sb 0.000 0.000 0.500
Rh1 Rh 0.250 0.250 0.250
# crystal system = cubic
# energy relative to the elements = -60.3 kJ per mole of atoms
# total DFT energy (no corrections) = -0.47970 Ry per atom

---

[11]
# PmSmRh2 PBE-GGA optimized geometry
data_PmSmRh2
_chemical_formula_sum 'Pm4 Sm4 Rh8'
_cell_length_a 7.026
_cell_length_b 7.026
_cell_length_c 7.026
_cell_angle_alpha 90.00
_cell_angle_beta 90.00
_cell_angle_gamma 90.00
_symmetry_space_group_name_H-M 'F m -3 m'
_symmetry_Int_Tables_number 225
_symmetry_space_group_name_Hall '-F 4 2 3'
loop_
_atom_site_label
_atom_site_type_symbol
_atom_site_fract_x
_atom_site_fract_y
_atom_site_fract_z
Pm1 Pm 0.000 0.000 0.000
Sm1 Sm 0.000 0.000 0.500
Rh1 Rh 0.250 0.250 0.250
# crystal system = cubic
# energy relative to the elements = -67.9 kJ per mole of atoms
# total DFT energy (no corrections) = -0.49633 Ry per atom

---

[12]
# PmSnRh2 PBE-GGA optimized geometry
data_PmSnRh2
_chemical_formula_sum 'Pm4 Sn4 Rh8'
_cell_length_a 6.765
_cell_length_b 6.765
_cell_length_c 6.765
_cell_angle_alpha 90.00
_cell_angle_beta 90.00
_cell_angle_gamma 90.00
_symmetry_space_group_name_H-M 'F m -3 m'
_symmetry_Int_Tables_number 225
_symmetry_space_group_name_Hall '-F 4 2 3'
loop_
_atom_site_label
_atom_site_type_symbol
_atom_site_fract_x
_atom_site_fract_y
_atom_site_fract_z
Pm1 Pm 0.000 0.000 0.000
Sn1 Sn 0.000 0.000 0.500
Rh1 Rh 0.250 0.250 0.250
# crystal system = cubic
# energy relative to the elements = -65.4 kJ per mole of atoms
# total DFT energy (no corrections) = -0.48144 Ry per atom

---

Copy entry 8 word for word.
# SrPmPt2 PBE-GGA optimized geometry
data_SrPmPt2
_chemical_formula_sum 'Sr4 Pm4 Pt8'
_cell_length_a 7.232
_cell_length_b 7.232
_cell_length_c 7.232
_cell_angle_alpha 90.00
_cell_angle_beta 90.00
_cell_angle_gamma 90.00
_symmetry_space_group_name_H-M 'F m -3 m'
_symmetry_Int_Tables_number 225
_symmetry_space_group_name_Hall '-F 4 2 3'
loop_
_atom_site_label
_atom_site_type_symbol
_atom_site_fract_x
_atom_site_fract_y
_atom_site_fract_z
Sr1 Sr 0.000 0.000 0.000
Pm1 Pm 0.000 0.000 0.500
Pt1 Pt 0.250 0.250 0.250
# crystal system = cubic
# energy relative to the elements = -86.8 kJ per mole of atoms
# total DFT energy (no corrections) = -0.40757 Ry per atom

---

> Which of these has the lowest energy relative to the elements?

SrPmPt2

---

> What is the energy relative to the elements in the sixth record?

-71.6 kJ per mole of atoms

---

Repeat the sixth record exactly.
# Pm2SiPt PBE-GGA optimized geometry
data_Pm2SiPt
_chemical_formula_sum 'Pm8 Si4 Pt4'
_cell_length_a 7.248
_cell_length_b 7.248
_cell_length_c 7.248
_cell_angle_alpha 90.00
_cell_angle_beta 90.00
_cell_angle_gamma 90.00
_symmetry_space_group_name_H-M 'F m -3 m'
_symmetry_Int_Tables_number 225
_symmetry_space_group_name_Hall '-F 4 2 3'
loop_
_atom_site_label
_atom_site_type_symbol
_atom_site_fract_x
_atom_site_fract_y
_atom_site_fract_z
Pm1 Pm 0.250 0.250 0.250
Si1 Si 0.000 0.000 0.000
Pt1 Pt 0.000 0.000 0.500
# crystal system = cubic
# energy relative to the elements = -71.6 kJ per mole of atoms
# total DFT energy (no corrections) = -0.44035 Ry per atom